Run A
Material: Li2CoSnP2O8
Method: DFT, GGA+U
State: optimized geometry

a = 5.898 Å, b = 9.924 Å, c = 12.111 Å
α = 100.90°, β = 90.00°, γ = 90.01°
Positions (direct):
Li  0.000  0.000  0.000
Li  0.000  0.246  0.502
Li  0.003  0.501  0.000
Li  0.008  0.738  0.508
Li  0.494  0.738  0.508
Li  0.497  0.501  0.001
Li  0.499  0.001  0.001
Li  0.501  0.245  0.502
Co  0.251  0.473  0.321
Co  0.251  0.974  0.320
Co  0.751  0.016  0.683
Co  0.751  0.517  0.688
Sn  0.251  0.267  0.784
Sn  0.251  0.772  0.787
Sn  0.751  0.224  0.219
Sn  0.751  0.725  0.223
P  0.251  0.296  0.107
P  0.251  0.461  0.585
P  0.251  0.796  0.106
P  0.251  0.960  0.582
P  0.751  0.031  0.419
P  0.751  0.199  0.894
P  0.751  0.528  0.422
P  0.751  0.701  0.898
O  0.035  0.407  0.639
O  0.035  0.905  0.636
O  0.044  0.860  0.184
O  0.045  0.360  0.185
O  0.250  0.640  0.082
O  0.250  0.859  0.999
O  0.251  0.118  0.597
O  0.251  0.140  0.083
O  0.251  0.359  0.999
O  0.251  0.380  0.460
O  0.251  0.619  0.597
O  0.251  0.880  0.458
O  0.457  0.361  0.184
O  0.457  0.860  0.184
O  0.466  0.905  0.636
O  0.467  0.407  0.639
O  0.535  0.086  0.366
O  0.535  0.583  0.369
O  0.544  0.636  0.821
O  0.545  0.131  0.819
O  0.750  0.639  0.006
O  0.751  0.109  0.544
O  0.751  0.142  0.005
O  0.751  0.355  0.912
O  0.751  0.370  0.408
O  0.751  0.608  0.547
O  0.751  0.857  0.920
O  0.751  0.873  0.403
O  0.957  0.131  0.819
O  0.957  0.635  0.821
O  0.967  0.086  0.366
O  0.967  0.583  0.369

space group	No. 1



Run B
Material: Li2CoSnP2O8
Method: DFT, GGA+U
State: optimized geometry

a = 4.841 Å, b = 6.302 Å, c = 11.245 Å
α = 89.96°, β = 89.30°, γ = 88.81°
Positions (direct):
Li  0.000  0.000  0.000
Li  0.000  0.500  0.000
Li  0.502  0.000  0.500
Li  0.507  0.497  0.503
Co  0.436  0.747  0.207
Co  0.564  0.253  0.793
Sn  0.018  0.755  0.724
Sn  0.984  0.246  0.276
P  0.152  0.250  0.621
P  0.421  0.249  0.075
P  0.580  0.750  0.925
P  0.849  0.751  0.378
O  0.163  0.757  0.359
O  0.246  0.263  0.489
O  0.262  0.754  0.916
O  0.284  0.447  0.141
O  0.287  0.442  0.687
O  0.290  0.048  0.135
O  0.308  0.258  0.946
O  0.309  0.051  0.674
O  0.691  0.950  0.326
O  0.692  0.742  0.054
O  0.711  0.952  0.864
O  0.715  0.558  0.312
O  0.718  0.553  0.858
O  0.739  0.246  0.083
O  0.758  0.738  0.511
O  0.837  0.245  0.639

space group	No. 1



Stability comparison, relative energies in kJ/mol of atoms: run A 0.0; run B 0.6



Run A
Material: LiLaW2O8
Method: DFT, GGA+U
State: optimized geometry

a = 6.941 Å, b = 6.941 Å, c = 6.941 Å
α = 134.39°, β = 134.39°, γ = 66.48°
Positions (direct):
Li  0.000  0.000  0.000
La  0.750  0.250  0.500
W  0.250  0.750  0.500
W  0.500  0.500  0.000
O  0.015  0.910  0.593
O  0.090  0.683  0.104
O  0.175  0.261  0.609
O  0.317  0.422  0.407
O  0.434  0.825  0.085
O  0.578  0.985  0.896
O  0.651  0.566  0.391
O  0.739  0.349  0.915

space group	No. 82



Run B
Material: LiLaW2O8
Method: DFT, GGA+U
State: optimized geometry

a = 7.275 Å, b = 7.498 Å, c = 7.626 Å
α = 113.73°, β = 115.66°, γ = 91.32°
Positions (direct):
Li  0.250  0.177  0.010
Li  0.750  0.823  0.990
La  0.185  0.787  0.462
La  0.815  0.213  0.538
W  0.262  0.792  0.029
W  0.354  0.397  0.717
W  0.646  0.603  0.283
W  0.738  0.208  0.971
O  0.043  0.803  0.089
O  0.139  0.491  0.802
O  0.180  0.143  0.564
O  0.185  0.865  0.809
O  0.295  0.489  0.519
O  0.385  0.671  0.256
O  0.445  0.035  0.249
O  0.481  0.328  0.009
O  0.519  0.672  0.991
O  0.555  0.965  0.751
O  0.615  0.329  0.744
O  0.705  0.511  0.481
O  0.815  0.135  0.191
O  0.820  0.857  0.436
O  0.861  0.509  0.198
O  0.957  0.197  0.911

space group	No. 2



Stability comparison, relative energies in kJ/mol of atoms: run A 6.8; run B 0.0